# 1
A plane-wave DFT calculation with r2SCAN was carried out for a geometry-optimized Ge2Te5As2 structure.

a b c (Å): 4.1356 4.1356 16.9508
angles (deg): 90.00 90.00 120.00
With the nearest neighbours (Å) after each atom.
Space group P-3m1 (No. 164)
One atom of each set of equivalent atoms:
Ge  0.3333  0.6667  0.1050 (multiplicity 2)  6 Te 2.94-2.98
Te  0.0000  0.0000  0.0000 (multiplicity 1)  6 Ge 2.98
Te  0.3333  0.6667  0.4068 (multiplicity 2)  3 As 2.84
Te  0.3333  0.6667  0.7934 (multiplicity 2)  3 Ge 2.94, 3 As 3.03
As  0.0000  0.0000  0.3166 (multiplicity 2)  6 Te 2.84-3.03

Final energy   -20.4632 eV per atom
V   251.1 Å³ per cell
Magnetization   0.0 μB per formula unit
Crystal system   trigonal
Formation energy from the elements   0.008 eV/atom


# 2
A plane-wave DFT calculation with r2SCAN was carried out for a geometry-optimized ZnGeAs2 structure.

a b c (Å): 5.6732 5.6732 11.2092
angles (deg): 90.00 90.00 90.00
With the nearest neighbours (Å) after each atom.
Space group I-42d (No. 122)
One atom of each set of equivalent atoms:
Zn  0.0000  0.0000  0.0000 (multiplicity 4)  4 As 2.45
Ge  0.0000  0.0000  0.5000 (multiplicity 4)  4 As 2.44
As  0.2488  0.7500  0.6250 (multiplicity 8)  2 Ge 2.44, 2 Zn 2.45

Final energy   -13.2774 eV per atom
V   360.8 Å³ per cell
Magnetization   0.0 μB per formula unit
Crystal system   tetragonal
Formation energy from the elements   -0.228 eV/atom